(1)
Computed, not measured: a relaxed GdTi2CdO6F crystal at the PBE-GGA level of DFT.

Results
E (MP2020), eV per cell: -194.625
Symmetry: No. 74

Cell lengths 7.241, 7.241, 7.241 Å; angles 120.97, 118.53, 90.45 degrees
Fractional coordinates of all 22 atoms:
O  0.072  0.831  0.657
Ti  0.000  0.500  0.000
O  0.326  0.576  0.750
O  0.072  0.415  0.241
O  0.928  0.169  0.343
O  0.916  0.166  0.750
Cd  0.500  0.500  0.500
O  0.326  0.169  0.741
O  0.084  0.834  0.250
Gd  0.000  0.000  0.000
O  0.928  0.585  0.759
F  0.373  0.123  0.250
Gd  0.500  0.000  0.500
Cd  0.500  0.000  0.000
Ti  0.500  0.500  0.000
Ti  0.000  0.000  0.500
O  0.674  0.415  0.843
Ti  0.000  0.500  0.500
O  0.674  0.424  0.250
O  0.326  0.585  0.157
F  0.627  0.877  0.750
O  0.674  0.831  0.259

(2)
Computed, not measured: a relaxed LiMg5 crystal at the PBE-GGA level of DFT.

Results
Offset from the most stable computed form, kJ per mole of atoms: 4.3
Symmetry: No. 187

Cell lengths 3.170, 3.170, 15.344 Å; angles 90.00, 90.00, 120.00 degrees
Fractional coordinates of all 6 atoms:
Mg  0.000  0.000  0.500
Mg  0.000  0.000  0.836
Li  0.667  0.333  0.000
Mg  0.667  0.333  0.667
Mg  0.000  0.000  0.164
Mg  0.667  0.333  0.333

(3)
Computed, not measured: a relaxed Mg14BSbO16 crystal at the PBE-GGA level of DFT.

Results
E (MP2020), eV per cell: -195.860
Offset from the most stable computed form, kJ per mole of atoms: 0.4
Symmetry: No. 123

Cell lengths 8.714, 8.714, 4.334 Å; angles 90.00, 90.00, 90.00 degrees
Fractional coordinates of all 32 atoms:
O  0.250  0.750  0.500
Mg  0.237  0.237  0.000
O  0.500  0.761  0.000
O  0.000  0.500  0.500
Mg  0.000  0.757  0.500
Mg  0.000  0.500  0.000
O  0.734  0.000  0.000
O  0.000  0.000  0.500
O  0.250  0.250  0.500
Mg  0.765  0.500  0.500
Mg  0.757  0.000  0.500
O  0.000  0.734  0.000
Mg  0.500  0.765  0.500
B  0.000  0.000  0.000
O  0.750  0.250  0.500
Mg  0.235  0.500  0.500
O  0.266  0.000  0.000
Mg  0.000  0.243  0.500
O  0.500  0.000  0.500
Mg  0.500  0.000  0.000
Mg  0.237  0.763  0.000
Sb  0.500  0.500  0.000
Mg  0.243  0.000  0.500
Mg  0.763  0.237  0.000
O  0.239  0.500  0.000
O  0.761  0.500  0.000
O  0.000  0.266  0.000
O  0.750  0.750  0.500
O  0.500  0.500  0.500
Mg  0.763  0.763  0.000
Mg  0.500  0.235  0.500
O  0.500  0.239  0.000

(4)
Computed, not measured: a relaxed CaCd2As2 crystal at the PBE-GGA level of DFT.

Results
Symmetry: No. 164

Cell lengths 4.457, 4.457, 7.240 Å; angles 90.00, 90.00, 120.00 degrees
Fractional coordinates of all 5 atoms:
Cd  0.333  0.667  0.366
As  0.333  0.667  0.765
As  0.667  0.333  0.235
Ca  0.000  0.000  0.000
Cd  0.667  0.333  0.634

(5)
Computed, not measured: a relaxed BaSrCeBiO6 crystal at the PBE-GGA level of DFT.

Results
E (MP2020), eV per cell: -144.313
Offset from the most stable computed form, kJ per mole of atoms: 0.0
Symmetry: No. 2

Cell lengths 6.144, 6.279, 8.776 Å; angles 89.71, 90.22, 90.15 degrees
Fractional coordinates of all 20 atoms:
Ce  0.500  0.000  0.000
O  0.708  0.308  0.446
Ba  0.007  0.964  0.747
Ce  0.000  0.500  0.500
Sr  0.485  0.458  0.747
Sr  0.515  0.542  0.253
O  0.207  0.224  0.960
O  0.280  0.701  0.945
O  0.801  0.784  0.458
Bi  0.000  0.500  0.000
O  0.292  0.692  0.554
O  0.100  0.488  0.236
Bi  0.500  0.000  0.500
O  0.199  0.216  0.542
O  0.793  0.776  0.040
O  0.573  0.048  0.763
O  0.720  0.299  0.055
Ba  0.993  0.036  0.253
O  0.900  0.512  0.764
O  0.427  0.952  0.237

(6)
Computed, not measured: a relaxed K3Sn5Cl3F10 crystal at the PBE-GGA level of DFT.

Results
E (MP2020), eV per cell: -197.401
Symmetry: No. 63

Cell lengths 10.117, 10.117, 20.909 Å; angles 90.00, 90.00, 155.00 degrees
Fractional coordinates of all 42 atoms:
K  0.559  0.441  0.163
F  0.374  0.626  0.398
F  0.025  0.975  0.872
Cl  0.579  0.421  0.750
Sn  0.202  0.798  0.250
K  0.559  0.441  0.337
F  0.857  0.143  0.462
Cl  0.184  0.816  0.113
F  0.427  0.573  0.967
Cl  0.816  0.184  0.613
F  0.143  0.857  0.538
F  0.143  0.857  0.962
K  0.441  0.559  0.663
F  0.626  0.374  0.898
F  0.326  0.674  0.750
F  0.857  0.143  0.038
F  0.573  0.427  0.467
K  0.441  0.559  0.837
Sn  0.672  0.328  0.500
F  0.374  0.626  0.102
F  0.674  0.326  0.250
Cl  0.184  0.816  0.387
Cl  0.421  0.579  0.250
F  0.626  0.374  0.602
F  0.573  0.427  0.033
Sn  0.873  0.127  0.351
K  0.000  0.000  0.500
Sn  0.127  0.873  0.851
F  0.975  0.025  0.372
Sn  0.873  0.127  0.149
Sn  0.328  0.672  0.000
F  0.025  0.975  0.628
Cl  0.816  0.184  0.887
K  0.000  0.000  0.000
Sn  0.798  0.202  0.750
F  0.427  0.573  0.533
F  0.904  0.096  0.750
Sn  0.328  0.672  0.500
Sn  0.672  0.328  0.000
F  0.975  0.025  0.128
Sn  0.127  0.873  0.649
F  0.096  0.904  0.250

(7)
Computed, not measured: a relaxed CoNiP2S6 crystal at the PBE-GGA level of DFT.

Results
E (MP2020), eV per cell: -53.826
Symmetry: No. 5

Cell lengths 5.798, 5.798, 6.707 Å; angles 81.72, 81.72, 120.00 degrees
Fractional coordinates of all 10 atoms:
S  0.733  0.720  0.772
S  0.910  0.567  0.228
P  0.057  0.057  0.830
S  0.064  0.420  0.772
S  0.433  0.090  0.772
P  0.943  0.943  0.170
Ni  0.333  0.667  0.000
S  0.580  0.936  0.228
Co  0.667  0.333  0.000
S  0.280  0.267  0.228

(8)
Computed, not measured: a relaxed Mg5Bi crystal at the PBE-GGA level of DFT.

Results
Symmetry: No. 155

Cell lengths 6.261, 6.261, 6.261 Å; angles 53.36, 53.36, 53.36 degrees
Fractional coordinates of all 6 atoms:
Mg  0.833  0.833  0.833
Mg  0.000  0.668  0.332
Mg  0.332  0.000  0.668
Bi  0.500  0.500  0.500
Mg  0.668  0.332  0.000
Mg  0.167  0.167  0.167

(9)
Computed, not measured: a relaxed Mn3Ni8N9 crystal at the PBE-GGA level of DFT.

Results
E (MP2020), eV per cell: -589.118
Symmetry: No. 14

Cell lengths 5.868, 9.634, 14.761 Å; angles 90.00, 96.44, 90.00 degrees
Fractional coordinates of all 80 atoms:
N  0.729  0.032  0.697
Mn  0.236  0.332  0.947
N  0.523  0.444  0.635
N  0.113  0.173  0.548
Ni  0.808  0.658  0.245
Ni  0.192  0.342  0.755
Ni  0.019  0.605  0.854
N  0.765  0.989  0.303
Ni  0.261  0.820  0.711
N  0.765  0.511  0.803
N  0.454  0.229  0.799
Ni  0.549  0.621  0.584
Mn  0.483  0.443  0.260
Ni  0.579  0.067  0.582
Ni  0.981  0.105  0.646
N  0.113  0.327  0.048
Ni  0.996  0.904  0.099
Mn  0.230  0.869  0.909
N  0.729  0.468  0.197
N  0.526  0.114  0.458
N  0.474  0.886  0.542
Ni  0.261  0.680  0.211
N  0.887  0.827  0.452
N  0.050  0.085  0.140
N  0.235  0.011  0.697
N  0.985  0.720  0.143
Ni  0.739  0.320  0.789
Ni  0.192  0.158  0.255
N  0.235  0.489  0.197
Ni  0.296  0.324  0.586
N  0.887  0.673  0.952
Mn  0.236  0.168  0.447
N  0.271  0.532  0.803
Ni  0.421  0.933  0.418
Ni  0.019  0.895  0.354
Ni  0.296  0.176  0.086
N  0.243  0.632  0.527
N  0.271  0.968  0.303
N  0.985  0.780  0.643
Ni  0.739  0.180  0.289
N  0.050  0.415  0.640
Ni  0.171  0.828  0.526
Ni  0.451  0.121  0.916
N  0.757  0.368  0.473
Ni  0.996  0.596  0.599
N  0.546  0.729  0.701
Mn  0.517  0.943  0.240
N  0.546  0.771  0.201
Ni  0.704  0.676  0.414
Mn  0.770  0.369  0.591
N  0.477  0.944  0.865
Ni  0.704  0.824  0.914
Ni  0.981  0.395  0.146
Ni  0.004  0.404  0.401
N  0.015  0.280  0.857
Mn  0.230  0.631  0.409
Ni  0.171  0.672  0.026
N  0.474  0.614  0.042
N  0.950  0.915  0.860
Ni  0.808  0.842  0.745
Mn  0.483  0.057  0.760
Mn  0.770  0.131  0.091
N  0.757  0.132  0.973
N  0.950  0.585  0.360
N  0.015  0.220  0.357
Ni  0.004  0.096  0.901
Ni  0.451  0.379  0.416
Ni  0.829  0.172  0.474
N  0.523  0.056  0.135
Mn  0.517  0.557  0.740
N  0.454  0.271  0.299
Ni  0.579  0.433  0.082
N  0.243  0.868  0.027
Ni  0.549  0.879  0.084
N  0.477  0.556  0.365
Ni  0.829  0.328  0.974
Mn  0.764  0.668  0.053
Ni  0.421  0.567  0.918
Mn  0.764  0.832  0.553
N  0.526  0.386  0.958

(10)
Computed, not measured: a relaxed LiGaPd2 crystal at the PBE-GGA level of DFT.

Results
Symmetry: No. 225

Cell lengths 4.295, 4.295, 4.295 Å; angles 60.00, 60.00, 60.00 degrees
Fractional coordinates of all 4 atoms:
Ga  0.500  0.500  0.500
Pd  0.250  0.250  0.250
Pd  0.750  0.750  0.750
Li  0.000  0.000  0.000

(11)
Computed, not measured: a relaxed Ho2Ti2O7 crystal at the PBE-GGA level of DFT.

Results
E (MP2020), eV per cell: -405.297
Symmetry: No. 4

Cell lengths 5.342, 7.539, 13.149 Å; angles 81.65, 90.00, 90.00 degrees
Fractional coordinates of all 44 atoms:
O  0.543  0.061  0.975
Ho  0.279  0.354  0.614
O  0.879  0.327  0.694
O  0.587  0.589  0.553
O  0.041  0.548  0.026
O  0.066  0.863  0.432
O  0.452  0.485  0.765
Ho  0.248  0.715  0.133
Ho  0.773  0.767  0.921
Ho  0.359  0.858  0.564
Ti  0.770  0.969  0.121
O  0.087  0.411  0.447
Ti  0.296  0.410  0.328
Ti  0.769  0.471  0.124
O  0.674  0.827  0.687
Ho  0.748  0.285  0.867
Ti  0.270  0.031  0.879
O  0.379  0.673  0.306
O  0.566  0.137  0.568
O  0.850  0.221  0.116
O  0.063  0.074  0.592
O  0.953  0.870  0.232
Ho  0.779  0.646  0.386
O  0.934  0.012  0.821
O  0.095  0.634  0.615
Ti  0.284  0.930  0.321
O  0.043  0.939  0.025
O  0.541  0.452  0.974
Ti  0.269  0.529  0.876
O  0.350  0.779  0.884
O  0.563  0.926  0.408
O  0.453  0.130  0.768
O  0.432  0.425  0.178
O  0.174  0.173  0.313
O  0.932  0.575  0.822
O  0.595  0.366  0.385
Ho  0.859  0.142  0.436
Ho  0.273  0.233  0.079
Ti  0.784  0.070  0.679
O  0.151  0.271  0.913
O  0.651  0.729  0.087
Ti  0.796  0.590  0.672
O  0.952  0.515  0.235
O  0.434  0.988  0.179

(12)
Computed, not measured: a relaxed LiYMg6 crystal at the PBE-GGA level of DFT.

Results
Offset from the most stable computed form, kJ per mole of atoms: 0.0

Cell lengths 5.162, 6.540, 11.422 Å; angles 90.00, 90.00, 90.00 degrees
Fractional coordinates of all 16 atoms:
Mg  0.500  0.247  0.419
Li  0.500  0.000  0.664
Mg  0.500  0.500  0.667
Mg  0.000  0.000  0.337
Mg  0.500  0.753  0.419
Y  0.000  0.500  0.332
Y  0.000  0.000  0.832
Mg  0.500  0.000  0.167
Mg  0.500  0.253  0.919
Mg  0.000  0.256  0.081
Mg  0.500  0.747  0.919
Mg  0.000  0.744  0.081
Mg  0.000  0.244  0.581
Mg  0.000  0.756  0.581
Mg  0.000  0.500  0.837
Li  0.500  0.500  0.164

Number 1: uncorrected energy -8.4298 eV per atom, formation enthalpy at 0 K -3.17 eV per atom. Number 2: uncorrected energy -1.6470 eV per atom, formation enthalpy at 0 K 0.00 eV per atom. Number 3: uncorrected energy -5.7771 eV per atom, formation enthalpy at 0 K -2.61 eV per atom. Number 4: uncorrected energy -3.2225 eV per atom, formation enthalpy at 0 K -0.59 eV per atom. Number 5: uncorrected energy -6.8034 eV per atom, formation enthalpy at 0 K -2.90 eV per atom. Number 6: uncorrected energy -4.4800 eV per atom, formation enthalpy at 0 K -2.41 eV per atom. Number 7: uncorrected energy -5.0808 eV per atom, formation enthalpy at 0 K -0.53 eV per atom. Number 8: uncorrected energy -1.9978 eV per atom, formation enthalpy at 0 K -0.02 eV per atom. Number 9: uncorrected energy -7.2015 eV per atom, formation enthalpy at 0 K 0.07 eV per atom. Number 10: uncorrected energy -4.5286 eV per atom, formation enthalpy at 0 K -0.70 eV per atom. Number 11: uncorrected energy -8.7741 eV per atom, formation enthalpy at 0 K -3.79 eV per atom. Number 12: uncorrected energy -2.2413 eV per atom, formation enthalpy at 0 K 0.01 eV per atom.